# 1
A plane-wave DFT calculation with r2SCAN was carried out for a relaxed structure of BaGe2Au2.

Its total moment is 0.00 μB per formula unit. For the formation energy, the calculation gives -0.503 eV per atom.

The structure belongs to space group I4/mmm (No. 139); the cell edges are 4.659, 4.659 and 10.576 Å and the angles 90.00°, 90.00° and 90.00°. Symmetry generates all atoms from Ba at (0.000, 0.000, 0.000), Ge at (0.000, 0.000, 0.375) and Au at (0.000, 0.500, 0.250).

***

# 2
A plane-wave DFT calculation with r2SCAN was carried out for a relaxed structure of BaPAu.

Its total moment is 0.00 μB per formula unit. For the formation energy, the calculation gives -0.986 eV per atom.

The structure belongs to space group P6_3/mmc (No. 194); the cell edges are 4.4280, 4.4280 and 9.2005 Å and the angles 90.00°, 90.00° and 120.00°. Symmetry generates all atoms from Ba at (0.0000, 0.0000, 0.0000), P at (0.3333, 0.6667, 0.2500) and Au at (0.3333, 0.6667, 0.7500).